[1]
{"formula": "MgSc4Fe4O12", "functional": "PBE+U", "state": "optimized geometry", "lattice_angstrom": [[-3.205, -3.990, -0.564], [4.170, -3.513, -0.073], [-0.102, -0.607, 8.587]], "species": ["Mg", "Sc", "Sc", "Sc", "Sc", "Fe", "Fe", "Fe", "Fe", "O", "O", "O", "O", "O", "O", "O", "O", "O", "O", "O", "O"], "frac_coords": [[0.403, 0.149, 0.121], [0.057, 0.924, 0.744], [0.448, 0.422, 0.755], [0.544, 0.610, 0.264], [0.922, 0.081, 0.274], [0.985, 0.494, 0.996], [0.037, 0.505, 0.471], [0.587, 0.881, 0.895], [0.496, 0.013, 0.508], [0.186, 0.419, 0.263], [0.203, 0.217, 0.587], [0.235, 0.164, 0.909], [0.291, 0.709, 0.593], [0.275, 0.669, 0.904], [0.300, 0.935, 0.298], [0.681, 0.093, 0.715], [0.701, 0.359, 0.114], [0.710, 0.309, 0.418], [0.716, 0.872, 0.116], [0.793, 0.800, 0.426], [0.793, 0.611, 0.779]], "total_energy_ev_per_cell": -159.1, "formation_enthalpy_0k_ev_per_atom": -2.68}

***

[2]
{"formula": "LiVAsCO7", "functional": "PBE+U", "state": "optimized geometry", "lattice_angstrom": [[3.594, -5.448, 5.394], [4.969, 6.707, 1.430], [-9.450, 2.146, 3.311]], "species": ["Li", "Li", "Li", "Li", "V", "V", "V", "V", "As", "As", "As", "As", "C", "C", "C", "C", "O", "O", "O", "O", "O", "O", "O", "O", "O", "O", "O", "O", "O", "O", "O", "O", "O", "O", "O", "O", "O", "O", "O", "O", "O", "O", "O", "O"], "frac_coords": [[0.497, 0.917, 0.167], [0.997, 0.417, 0.167], [0.833, 0.753, 0.833], [0.333, 0.253, 0.833], [0.428, 0.692, 0.326], [0.058, 0.822, 0.674], [0.928, 0.192, 0.326], [0.558, 0.322, 0.674], [0.694, 0.461, 0.443], [0.194, 0.961, 0.443], [0.789, 0.056, 0.557], [0.289, 0.556, 0.557], [0.776, 0.017, 0.059], [0.276, 0.517, 0.059], [0.733, 0.474, 0.941], [0.233, 0.974, 0.941], [0.339, 0.028, 0.072], [0.839, 0.528, 0.072], [0.222, 0.411, 0.928], [0.722, 0.911, 0.928], [0.901, 0.167, 0.120], [0.401, 0.668, 0.120], [0.582, 0.349, 0.880], [0.082, 0.849, 0.880], [0.726, 0.993, 0.165], [0.226, 0.493, 0.165], [0.757, 0.524, 0.835], [0.257, 0.024, 0.835], [0.574, 0.550, 0.330], [0.074, 0.050, 0.330], [0.700, 0.176, 0.670], [0.200, 0.676, 0.670], [0.780, 0.342, 0.327], [0.280, 0.842, 0.327], [0.909, 0.971, 0.673], [0.408, 0.471, 0.673], [0.626, 0.904, 0.396], [0.126, 0.404, 0.396], [0.845, 0.624, 0.604], [0.345, 0.124, 0.604], [0.558, 0.328, 0.481], [0.058, 0.828, 0.481], [0.922, 0.192, 0.519], [0.422, 0.692, 0.519]], "total_energy_ev_per_cell": -301.1, "formation_enthalpy_0k_ev_per_atom": -2.02}

***

[3]
{"formula": "Na2Ni4Mo4H5O20", "functional": "PBE+U", "state": "optimized geometry", "lattice_angstrom": [[5.240, 0.842, 2.236], [0.605, 8.857, 9.552], [-0.591, 0.110, 9.449]], "species": ["Na", "Na", "Ni", "Ni", "Ni", "Ni", "Mo", "Mo", "Mo", "Mo", "H", "H", "H", "H", "H", "O", "O", "O", "O", "O", "O", "O", "O", "O", "O", "O", "O", "O", "O", "O", "O", "O", "O", "O", "O"], "frac_coords": [[0.502, 0.499, 0.469], [0.498, 0.001, 0.531], [0.000, 0.250, 0.000], [0.426, 0.937, 0.019], [0.574, 0.563, 0.981], [0.000, 0.750, 0.000], [0.886, 0.078, 0.752], [0.924, 0.597, 0.697], [0.114, 0.422, 0.248], [0.076, 0.903, 0.303], [0.191, 0.830, 0.595], [0.229, 0.305, 0.573], [0.500, 0.750, 0.000], [0.809, 0.670, 0.405], [0.771, 0.195, 0.427], [0.285, 0.315, 0.898], [0.326, 0.280, 0.250], [0.215, 0.413, 0.433], [0.363, 0.723, 0.963], [0.202, 0.071, 0.044], [0.742, 0.033, 0.190], [0.153, 0.705, 0.409], [0.258, 0.467, 0.810], [0.798, 0.429, 0.956], [0.785, 0.087, 0.567], [0.251, 0.901, 0.448], [0.076, 0.610, 0.975], [0.807, 0.389, 0.330], [0.674, 0.220, 0.750], [0.193, 0.111, 0.670], [0.924, 0.890, 0.025], [0.715, 0.185, 0.102], [0.749, 0.599, 0.552], [0.847, 0.795, 0.591], [0.637, 0.777, 0.037]], "total_energy_ev_per_cell": -191.5, "formation_enthalpy_0k_ev_per_atom": -1.23}

***

[4]
{"formula": "Na2TiFe5Si6O20", "functional": "PBE+U", "state": "optimized geometry", "lattice_angstrom": [[-9.062, 0.000, 0.000], [4.034, 8.977, 0.000], [-1.242, -4.353, -9.535]], "species": ["Na", "Na", "Na", "Na", "Ti", "Ti", "Fe", "Fe", "Fe", "Fe", "Fe", "Fe", "Fe", "Fe", "Fe", "Fe", "Si", "Si", "Si", "Si", "Si", "Si", "Si", "Si", "Si", "Si", "Si", "Si", "O", "O", "O", "O", "O", "O", "O", "O", "O", "O", "O", "O", "O", "O", "O", "O", "O", "O", "O", "O", "O", "O", "O", "O", "O", "O", "O", "O", "O", "O", "O", "O", "O", "O", "O", "O", "O", "O", "O", "O"], "frac_coords": [[0.629, 0.386, 0.050], [0.371, 0.614, 0.950], [0.386, 0.631, 0.422], [0.614, 0.369, 0.578], [0.258, 0.743, 0.746], [0.742, 0.257, 0.254], [0.821, 0.147, 0.469], [0.848, 0.181, 0.947], [0.949, 0.061, 0.158], [0.179, 0.853, 0.531], [0.066, 0.943, 0.347], [0.500, 0.000, 0.000], [0.152, 0.819, 0.053], [0.934, 0.057, 0.653], [0.051, 0.939, 0.842], [0.000, 0.500, 0.500], [0.224, 0.336, 0.058], [0.051, 0.559, 0.207], [0.554, 0.055, 0.704], [0.949, 0.441, 0.793], [0.654, 0.764, 0.750], [0.759, 0.659, 0.450], [0.671, 0.767, 0.245], [0.446, 0.945, 0.296], [0.241, 0.341, 0.550], [0.776, 0.664, 0.942], [0.346, 0.236, 0.250], [0.329, 0.233, 0.755], [0.875, 0.397, 0.149], [0.631, 0.675, 0.577], [0.180, 0.068, 0.207], [0.702, 0.046, 0.601], [0.737, 0.078, 0.091], [0.820, 0.932, 0.793], [0.263, 0.922, 0.909], [0.508, 0.805, 0.296], [0.395, 0.877, 0.640], [0.117, 0.608, 0.365], [0.079, 0.738, 0.670], [0.937, 0.833, 0.991], [0.063, 0.167, 0.009], [0.350, 0.338, 0.929], [0.679, 0.637, 0.804], [0.187, 0.499, 0.099], [0.836, 0.932, 0.290], [0.074, 0.173, 0.508], [0.125, 0.603, 0.851], [0.609, 0.120, 0.870], [0.369, 0.325, 0.423], [0.605, 0.123, 0.360], [0.298, 0.954, 0.399], [0.813, 0.501, 0.901], [0.515, 0.226, 0.185], [0.650, 0.662, 0.071], [0.921, 0.262, 0.330], [0.226, 0.512, 0.583], [0.774, 0.488, 0.417], [0.164, 0.068, 0.710], [0.926, 0.827, 0.492], [0.492, 0.195, 0.704], [0.663, 0.640, 0.312], [0.883, 0.392, 0.635], [0.391, 0.880, 0.130], [0.958, 0.288, 0.811], [0.042, 0.712, 0.189], [0.321, 0.363, 0.196], [0.485, 0.774, 0.815], [0.337, 0.360, 0.688]], "total_energy_ev_per_cell": -502.8, "formation_enthalpy_0k_ev_per_atom": -2.71}

***

[5]
{"formula": "Ba2CoO4", "functional": "PBE+U", "state": "optimized geometry", "lattice_angstrom": [[5.956, 0.000, 0.000], [0.000, 7.701, 0.000], [0.000, 0.000, 10.664]], "species": ["Ba", "Ba", "Ba", "Ba", "Ba", "Ba", "Ba", "Ba", "Co", "Co", "Co", "Co", "O", "O", "O", "O", "O", "O", "O", "O", "O", "O", "O", "O", "O", "O", "O", "O"], "frac_coords": [[0.250, 0.852, 0.426], [0.750, 0.148, 0.574], [0.250, 0.352, 0.074], [0.750, 0.648, 0.926], [0.250, 0.009, 0.810], [0.750, 0.991, 0.190], [0.250, 0.509, 0.690], [0.750, 0.491, 0.310], [0.250, 0.276, 0.423], [0.750, 0.724, 0.577], [0.250, 0.776, 0.077], [0.750, 0.224, 0.923], [0.497, 0.685, 0.148], [0.997, 0.315, 0.852], [0.003, 0.185, 0.352], [0.503, 0.815, 0.648], [0.503, 0.315, 0.852], [0.003, 0.685, 0.148], [0.997, 0.815, 0.648], [0.497, 0.185, 0.352], [0.250, 0.191, 0.582], [0.750, 0.809, 0.418], [0.250, 0.691, 0.918], [0.750, 0.309, 0.082], [0.750, 0.992, 0.918], [0.250, 0.008, 0.082], [0.750, 0.492, 0.582], [0.250, 0.508, 0.418]], "total_energy_ev_per_cell": -170.6, "formation_enthalpy_0k_ev_per_atom": -2.33}

***

[6]
{"formula": "ZnNi2P2O10", "functional": "PBE+U", "state": "optimized geometry", "lattice_angstrom": [[4.564, -5.815, 6.702], [1.171, -0.763, 8.924], [-2.589, -5.819, 1.187]], "species": ["Zn", "Zn", "Ni", "Ni", "Ni", "Ni", "P", "P", "P", "P", "O", "O", "O", "O", "O", "O", "O", "O", "O", "O", "O", "O", "O", "O", "O", "O", "O", "O", "O", "O"], "frac_coords": [[0.750, 0.750, 0.750], [0.500, 0.500, 0.500], [0.125, 0.125, 0.625], [0.125, 0.625, 0.125], [0.125, 0.125, 0.125], [0.625, 0.125, 0.125], [0.294, 0.294, 0.706], [0.956, 0.956, 0.544], [0.706, 0.706, 0.294], [0.544, 0.544, 0.956], [0.461, 0.838, 0.513], [0.923, 0.923, 0.077], [0.408, 0.569, 0.865], [0.737, 0.062, 0.789], [0.838, 0.461, 0.188], [0.842, 0.681, 0.385], [0.327, 0.327, 0.173], [0.077, 0.077, 0.923], [0.173, 0.173, 0.327], [0.789, 0.412, 0.737], [0.188, 0.513, 0.838], [0.062, 0.737, 0.412], [0.513, 0.188, 0.461], [0.569, 0.408, 0.158], [0.092, 0.385, 0.681], [0.865, 0.158, 0.408], [0.385, 0.092, 0.842], [0.158, 0.865, 0.569], [0.412, 0.789, 0.062], [0.681, 0.842, 0.092]], "total_energy_ev_per_cell": -172.1, "formation_enthalpy_0k_ev_per_atom": -1.66}